Na3ZrSi6O18 | GGA-PBE | optimized geometry

Geometry as POSCAR:
```
Na3ZrSi6O18
1.0
0.0526 -4.2777 -6.2408
5.1567 4.4712 -3.2659
5.7835 -4.1613 2.3153
Si O Zr Na
6 18 1 3
Direct
0.7234 0.2610 0.7114
0.7390 0.2766 0.2886
0.2927 0.7386 0.2843
0.2614 0.7073 0.7157
0.2970 0.2874 0.7180
0.7126 0.7030 0.2820
0.2065 0.5682 0.2019
0.0933 0.8051 0.8166
0.7745 0.2255 0.5000
0.8338 0.8108 0.1288
0.2470 0.4942 0.7587
0.8105 0.0958 0.8267
0.8020 0.4444 0.7712
0.5556 0.1980 0.2288
0.7623 0.7533 0.4818
0.1949 0.9067 0.1834
0.1892 0.1662 0.8712
0.5058 0.7530 0.2413
0.5086 0.2534 0.7471
0.9042 0.1895 0.1733
0.2503 0.7497 0.5000
0.7466 0.4914 0.2529
0.4318 0.7935 0.7981
0.2467 0.2377 0.5182
0.0021 0.9979 0.0000
0.9907 0.5058 0.9977
0.0083 0.9917 0.5000
0.4942 0.0093 0.0023
```

Computed properties:
Density in g cm⁻³: 2.4
VASP energy in eV per atom: -6.996
ΔH_f (0 K) in kJ per mole of atoms: -255
Size of the total moment in μB/atom: 0.1786
Corrected total energy (MP2020 scheme) in eV per formula unit: -208.246
Volume in Å³/cell: 427